(1)
The following is a GGA-PBE calculation of an optimized crystal structure of BeAsRu2, from the Materials Project database. Values from VASP.

space-group type = Fm-3m, No. 225
ΔH_f (0 K) = -0.246 eV/atom
theoretical density = 9.52 g/cm³
total energy = -6.98 eV per atom

```
&SYSTEM
  ibrav = 0, nat = 4, ntyp = 3
/
ATOMIC_SPECIES
Be 9.01 Be.upf
As 74.92 As.upf
Ru 101.07 Ru.upf
ATOMIC_POSITIONS crystal
Be 0.0000 0.0000 0.0000
As 0.5000 0.5000 0.5000
Ru 0.2500 0.2500 0.2500
Ru 0.7500 0.7500 0.7500
CELL_PARAMETERS angstrom
0.0000 2.9223 2.9223
2.9223 0.0000 2.9223
2.9223 2.9223 0.0000
```

***

(2)
The following is a GGA-PBE calculation of an optimized crystal structure of Tm5Si2Sb2, from the Materials Project database. Values from VASP.

space-group type = Cmce, No. 64
ΔH_f (0 K) = -0.936 eV/atom
MP2020-corrected energy = -99.83 eV/cell
theoretical density = 8.47 g/cm³
total energy = -5.50 eV per atom

```
&SYSTEM
  ibrav = 0, nat = 18, ntyp = 3
/
ATOMIC_SPECIES
Tm 168.93 Tm.upf
Si 28.09 Si.upf
Sb 121.76 Sb.upf
ATOMIC_POSITIONS crystal
Tm 0.0000 0.0000 0.0000
Tm 0.0402 0.7102 0.6645
Tm 0.2102 0.5402 0.1645
Tm 0.2898 0.9598 0.6645
Tm 0.4598 0.7898 0.1645
Tm 0.5000 0.5000 0.5000
Tm 0.5402 0.2102 0.8355
Tm 0.7102 0.0402 0.3355
Tm 0.7898 0.4598 0.8355
Tm 0.9598 0.2898 0.3355
Si 0.1334 0.8666 0.3678
Si 0.3666 0.6334 0.8678
Si 0.6334 0.3666 0.1322
Si 0.8666 0.1334 0.6322
Sb 0.2061 0.2061 0.0000
Sb 0.2939 0.2939 0.5000
Sb 0.7061 0.7061 0.5000
Sb 0.7939 0.7939 0.0000
CELL_PARAMETERS angstrom
7.4746 -3.8677 0.0000
7.4746 3.8677 0.0000
0.0000 0.0000 7.7586
```

***

(3)
The following is a GGA-PBE calculation of an optimized crystal structure of Nd3Ge13Rh4, from the Materials Project database. Values from VASP.

space-group type = Pm-3n, No. 223
ΔH_f (0 K) = -0.542 eV/atom
theoretical density = 7.83 g/cm³
total energy = -5.74 eV per atom

```
&SYSTEM
  ibrav = 0, nat = 40, ntyp = 3
/
ATOMIC_SPECIES
Nd 144.24 Nd.upf
Ge 72.64 Ge.upf
Rh 102.91 Rh.upf
ATOMIC_POSITIONS crystal
Nd 0.0000 0.2500 0.5000
Nd 0.0000 0.7500 0.5000
Nd 0.2500 0.5000 0.0000
Nd 0.5000 0.0000 0.2500
Nd 0.5000 0.0000 0.7500
Nd 0.7500 0.5000 0.0000
Ge 0.0000 0.0000 0.0000
Ge 0.0000 0.3083 0.1496
Ge 0.0000 0.3083 0.8504
Ge 0.0000 0.6917 0.1496
Ge 0.0000 0.6917 0.8504
Ge 0.1496 0.0000 0.3083
Ge 0.1496 0.0000 0.6917
Ge 0.1917 0.5000 0.3504
Ge 0.1917 0.5000 0.6496
Ge 0.3083 0.1496 0.0000
Ge 0.3083 0.8504 0.0000
Ge 0.3504 0.1917 0.5000
Ge 0.3504 0.8083 0.5000
Ge 0.5000 0.3504 0.1917
Ge 0.5000 0.3504 0.8083
Ge 0.5000 0.5000 0.5000
Ge 0.5000 0.6496 0.1917
Ge 0.5000 0.6496 0.8083
Ge 0.6496 0.1917 0.5000
Ge 0.6496 0.8083 0.5000
Ge 0.6917 0.1496 0.0000
Ge 0.6917 0.8504 0.0000
Ge 0.8083 0.5000 0.3504
Ge 0.8083 0.5000 0.6496
Ge 0.8504 0.0000 0.3083
Ge 0.8504 0.0000 0.6917
Rh 0.2500 0.2500 0.2500
Rh 0.2500 0.2500 0.7500
Rh 0.2500 0.7500 0.2500
Rh 0.2500 0.7500 0.7500
Rh 0.7500 0.2500 0.2500
Rh 0.7500 0.2500 0.7500
Rh 0.7500 0.7500 0.2500
Rh 0.7500 0.7500 0.7500
CELL_PARAMETERS angstrom
9.1185 0.0000 0.0000
0.0000 9.1185 0.0000
0.0000 0.0000 9.1185
```

***

(4)
The following is a GGA-PBE calculation of an optimized crystal structure of Ge4Te7As2, from the Materials Project database. Values from VASP.

space-group type = R-3m, No. 166
ΔH_f (0 K) = -0.054 eV/atom
theoretical density = 6.10 g/cm³
total energy = -3.89 eV per atom

```
&SYSTEM
  ibrav = 0, nat = 13, ntyp = 3
/
ATOMIC_SPECIES
Ge 72.64 Ge.upf
Te 127.60 Te.upf
As 74.92 As.upf
ATOMIC_POSITIONS crystal
Ge 0.0746 0.0746 0.0746
Ge 0.3086 0.3086 0.3086
Ge 0.6914 0.6914 0.6914
Ge 0.9254 0.9254 0.9254
Te 0.0000 0.0000 0.0000
Te 0.1453 0.1453 0.1453
Te 0.2354 0.2354 0.2354
Te 0.3821 0.3821 0.3821
Te 0.6179 0.6179 0.6179
Te 0.7646 0.7646 0.7646
Te 0.8547 0.8547 0.8547
As 0.4579 0.4579 0.4579
As 0.5421 0.5421 0.5421
CELL_PARAMETERS angstrom
2.0960 1.2101 23.8647
-2.0960 1.2101 23.8647
0.0000 -2.4202 23.8647
```